Version A
! Pr2MgTi4O12, optimized geometry, DFT GGA-PBE; values from VASP
&SYSTEM
  ibrav = 0, nat = 19, ntyp = 4
/
ATOMIC_SPECIES
Pr 140.91 Pr.upf
Mg 24.30 Mg.upf
Ti 47.87 Ti.upf
O 16.00 O.upf
CELL_PARAMETERS angstrom
5.7244 0.0000 0.0000
1.4460 5.6215 0.0000
1.1890 2.4736 8.9322
ATOMIC_POSITIONS angstrom
Pr 0.0000 0.0000 0.0000
Pr 3.2835 3.5078 3.5603
Mg 6.9848 5.9853 6.9565
Ti 3.8193 6.0284 5.7816
Ti 3.0378 0.5768 2.0203
Ti 6.3668 3.4486 5.4785
Ti 6.0543 2.8851 1.4775
O 1.8291 3.9414 1.7047
O 2.3084 4.8685 5.5185
O 1.3655 1.2252 1.5588
O 3.3689 6.4520 7.4700
O 2.2062 2.2531 5.2064
O 4.1673 5.6683 3.6953
O 4.2843 1.8960 1.9616
O 5.4404 5.1326 6.0310
O 5.0976 4.7759 1.0578
O 5.6106 2.4044 6.7663
O 5.6797 3.2099 3.8321
O 6.9711 4.9624 8.6685
! Space group: P1, No. 1

Version B
! Pr2MgTi4O12, optimized geometry, DFT GGA-PBE; values from VASP
&SYSTEM
  ibrav = 0, nat = 19, ntyp = 4
/
ATOMIC_SPECIES
Pr 140.91 Pr.upf
Mg 24.30 Mg.upf
Ti 47.87 Ti.upf
O 16.00 O.upf
CELL_PARAMETERS angstrom
5.4586 0.0000 0.0000
0.0000 7.4312 0.0000
-0.6216 0.0000 6.0463
ATOMIC_POSITIONS angstrom
Pr 0.0000 0.0000 0.0000
Pr 2.4463 3.7156 1.5540
Mg 2.5447 0.0000 2.4999
Ti -0.1910 1.8325 2.7375
Ti -0.1910 5.5988 2.7375
Ti 2.4173 1.9629 4.8590
Ti 2.4173 5.4684 4.8590
O 0.1242 3.7156 2.4257
O 0.5283 1.4852 4.3626
O 0.5283 5.9461 4.3626
O 1.2746 1.4119 1.6104
O 1.2746 6.0193 1.6104
O 1.7254 3.7156 5.2279
O 2.7313 0.0000 4.6297
O 3.3761 2.2573 3.3093
O 3.3761 5.1739 3.3093
O 3.9752 1.9504 0.3757
O 3.9752 5.4809 0.3757
O 4.5343 0.0000 2.3040
! Space group: Pm, No. 6

Which one is most stable, and which one is least stable? version B is the most stable of them, while version A is the least stable.